--- 1 ---
# Na9Nb2Zn4P9O36 GGA-PBE relaxed
data_Na9Nb2Zn4P9O36
_chemical_formula_sum 'Na54 Nb12 Zn24 P54 O216'
_cell_length_a 9.042
_cell_length_b 22.120
_cell_length_c 23.792
_cell_angle_alpha 90.10
_cell_angle_beta 100.91
_cell_angle_gamma 90.02
_space_group_name_H-M_alt 'P 1'
_space_group_IT_number 1
_space_group_name_Hall 'P 1'
loop_
_atom_site_label
_atom_site_fract_x
_atom_site_fract_y
_atom_site_fract_z
Na1 0.000 0.000 0.000
Na2 0.001 0.484 0.006
Na3 0.019 0.571 0.682
Na4 0.035 0.745 0.335
Na5 0.053 0.575 0.890
Na6 0.079 0.416 0.561
Na7 0.083 0.317 0.220
Na8 0.091 0.749 0.543
Na9 0.106 0.818 0.221
Na10 0.108 0.244 0.879
Na11 0.143 0.073 0.557
Na12 0.197 0.742 0.795
Na13 0.204 0.083 0.770
Na14 0.212 0.659 0.446
Na15 0.219 0.234 0.122
Na16 0.226 0.575 0.097
Na17 0.233 0.160 0.451
Na18 0.277 0.246 0.334
Na19 0.314 0.074 0.012
Na20 0.317 0.498 0.672
Na21 0.332 0.569 0.350
Na22 0.340 0.001 0.672
Na23 0.343 0.901 0.333
Na24 0.370 0.742 0.002
Na25 0.388 0.573 0.557
Na26 0.404 0.747 0.210
Na27 0.422 0.833 0.886
Na28 0.423 0.317 0.891
Na29 0.454 0.917 0.560
Na30 0.549 0.147 0.120
Na31 0.554 0.655 0.117
Na32 0.562 0.581 0.767
Na33 0.573 0.237 0.793
Na34 0.580 0.408 0.446
Na35 0.634 0.231 0.996
Na36 0.640 0.986 0.337
Na37 0.651 0.414 0.657
Na38 0.652 0.920 0.989
Na39 0.658 0.482 0.330
Na40 0.684 0.575 0.015
Na41 0.739 0.743 0.876
Na42 0.764 0.836 0.562
Na43 0.766 0.332 0.560
Na44 0.770 0.397 0.902
Na45 0.772 0.903 0.236
Na46 0.788 0.087 0.896
Na47 0.842 0.910 0.447
Na48 0.849 0.080 0.098
Na49 0.862 0.737 0.125
Na50 0.868 0.662 0.775
Na51 0.873 0.171 0.771
Na52 0.905 0.254 0.454
Na53 0.969 0.400 0.332
Na54 0.995 0.070 0.351
Nb1 0.100 0.471 0.222
Nb2 0.108 0.974 0.223
Nb3 0.315 0.342 0.668
Nb4 0.324 0.847 0.670
Nb5 0.427 0.473 0.892
Nb6 0.550 0.309 0.114
Nb7 0.654 0.139 0.331
Nb8 0.657 0.638 0.333
Nb9 0.760 0.177 0.562
Nb10 0.766 0.679 0.559
Nb11 0.873 0.009 0.778
Nb12 0.996 0.845 0.000
Zn1 0.093 0.175 0.223
Zn2 0.098 0.672 0.223
Zn3 0.194 0.507 0.448
Zn4 0.208 0.311 0.447
Zn5 0.231 0.811 0.445
Zn6 0.235 0.007 0.449
Zn7 0.326 0.645 0.669
Zn8 0.329 0.143 0.668
Zn9 0.427 0.976 0.890
Zn10 0.435 0.677 0.890
Zn11 0.437 0.169 0.889
Zn12 0.535 0.005 0.111
Zn13 0.538 0.814 0.114
Zn14 0.550 0.508 0.115
Zn15 0.654 0.839 0.338
Zn16 0.656 0.342 0.335
Zn17 0.764 0.977 0.556
Zn18 0.769 0.478 0.554
Zn19 0.873 0.810 0.777
Zn20 0.885 0.504 0.778
Zn21 0.887 0.312 0.781
Zn22 0.986 0.148 0.003
Zn23 0.988 0.641 0.002
Zn24 0.995 0.341 0.002
P1 0.001 0.576 0.322
P2 0.016 0.911 0.348
P3 0.031 0.738 0.670
P4 0.064 0.575 0.558
P5 0.074 0.409 0.880
P6 0.084 0.737 0.902
P7 0.111 0.907 0.543
P8 0.123 0.237 0.569
P9 0.138 0.076 0.890
P10 0.171 0.905 0.781
P11 0.188 0.739 0.098
P12 0.203 0.080 0.125
P13 0.221 0.237 0.767
P14 0.234 0.579 0.794
P15 0.252 0.413 0.111
P16 0.285 0.241 0.002
P17 0.298 0.079 0.322
P18 0.311 0.411 0.349
P19 0.339 0.580 0.990
P20 0.349 0.908 0.012
P21 0.359 0.743 0.334
P22 0.392 0.579 0.222
P23 0.408 0.410 0.544
P24 0.422 0.741 0.570
P25 0.448 0.908 0.212
P26 0.460 0.246 0.237
P27 0.468 0.072 0.558
P28 0.516 0.908 0.446
P29 0.520 0.739 0.767
P30 0.531 0.074 0.791
P31 0.558 0.243 0.433
P32 0.572 0.575 0.459
P33 0.581 0.409 0.779
P34 0.615 0.243 0.669
P35 0.632 0.074 0.991
P36 0.645 0.413 0.014
P37 0.667 0.572 0.655
P38 0.681 0.904 0.680
P39 0.697 0.741 0.003
P40 0.726 0.576 0.889
P41 0.742 0.413 0.212
P42 0.756 0.745 0.237
P43 0.778 0.904 0.878
P44 0.791 0.243 0.901
P45 0.807 0.075 0.223
P46 0.841 0.908 0.113
P47 0.851 0.742 0.433
P48 0.863 0.077 0.459
P49 0.892 0.243 0.101
P50 0.903 0.578 0.125
P51 0.907 0.406 0.446
P52 0.952 0.244 0.333
P53 0.963 0.072 0.655
P54 0.976 0.410 0.680
O1 0.004 0.348 0.454
O2 0.005 0.065 0.834
O3 0.006 0.461 0.437
O4 0.014 0.519 0.283
O5 0.022 0.737 0.438
O6 0.029 0.081 0.454
O7 0.030 0.239 0.281
O8 0.036 0.407 0.940
O9 0.036 0.680 0.930
O10 0.040 0.351 0.846
O11 0.050 0.634 0.295
O12 0.050 0.793 0.941
O13 0.058 0.082 0.942
O14 0.058 0.961 0.771
O15 0.059 0.245 0.774
O16 0.061 0.918 0.286
O17 0.063 0.572 0.787
O18 0.066 0.967 0.385
O19 0.068 0.237 0.389
O20 0.085 0.846 0.786
O21 0.090 0.074 0.068
O22 0.099 0.852 0.371
O23 0.100 0.569 0.381
O24 0.105 0.793 0.061
O25 0.120 0.679 0.675
O26 0.122 0.403 0.062
O27 0.124 0.850 0.506
O28 0.133 0.578 0.504
O29 0.134 0.078 0.664
O30 0.136 0.744 0.156
O31 0.139 0.792 0.660
O32 0.143 0.680 0.065
O33 0.148 0.399 0.673
O34 0.154 0.027 0.165
O35 0.154 0.245 0.508
O36 0.169 0.574 0.990
O37 0.171 0.898 0.006
O38 0.177 0.965 0.521
O39 0.181 0.295 0.993
O40 0.183 0.294 0.607
O41 0.184 0.139 0.157
O42 0.185 0.416 0.169
O43 0.187 0.579 0.613
O44 0.191 0.180 0.597
O45 0.203 0.420 0.287
O46 0.209 0.183 0.019
O47 0.215 0.135 0.874
O48 0.220 0.897 0.605
O49 0.224 0.136 0.294
O50 0.235 0.738 0.279
O51 0.238 0.901 0.723
O52 0.240 0.178 0.735
O53 0.242 0.022 0.284
O54 0.242 0.022 0.900
O55 0.244 0.353 0.371
O56 0.252 0.419 0.886
O57 0.254 0.743 0.902
O58 0.257 0.072 0.381
O59 0.269 0.290 0.727
O60 0.275 0.918 0.218
O61 0.280 0.637 0.826
O62 0.284 0.525 0.232
O63 0.287 0.573 0.736
O64 0.288 0.239 0.228
O65 0.288 0.739 0.388
O66 0.299 0.467 0.386
O67 0.301 0.915 0.830
O68 0.303 0.638 0.217
O69 0.318 0.524 0.831
O70 0.322 0.747 0.511
O71 0.327 0.469 0.523
O72 0.333 0.244 0.824
O73 0.338 0.471 0.106
O74 0.349 0.078 0.503
O75 0.358 0.356 0.504
O76 0.360 0.746 0.105
O77 0.361 0.399 0.605
O78 0.365 0.072 0.117
O79 0.365 0.235 0.950
O80 0.365 0.357 0.121
O81 0.373 0.524 0.951
O82 0.373 0.683 0.597
O83 0.382 0.967 0.046
O84 0.387 0.638 0.962
O85 0.387 0.911 0.952
O86 0.390 0.241 0.434
O87 0.393 0.078 0.610
O88 0.402 0.580 0.454
O89 0.408 0.798 0.608
O90 0.413 0.964 0.434
O91 0.418 0.252 0.058
O92 0.425 0.852 0.456
O93 0.429 0.852 0.042
O94 0.434 0.793 0.728
O95 0.435 0.078 0.731
O96 0.436 0.575 0.050
O97 0.447 0.847 0.181
O98 0.448 0.800 0.327
O99 0.449 0.399 0.725
O100 0.464 0.571 0.171
O101 0.465 0.745 0.824
O102 0.471 0.680 0.735
O103 0.471 0.686 0.336
O104 0.475 0.081 0.326
O105 0.475 0.406 0.341
O106 0.479 0.021 0.823
O107 0.501 0.578 0.660
O108 0.502 0.904 0.678
O109 0.505 0.419 0.832
O110 0.506 0.249 0.177
O111 0.507 0.959 0.180
O112 0.509 0.300 0.660
O113 0.510 0.298 0.276
O114 0.515 0.579 0.280
O115 0.523 0.187 0.677
O116 0.536 0.412 0.953
O117 0.536 0.907 0.274
O118 0.541 0.186 0.267
O119 0.543 0.134 0.826
O120 0.551 0.131 0.962
O121 0.559 0.014 0.562
O122 0.578 0.744 0.947
O123 0.581 0.412 0.555
O124 0.584 0.017 0.955
O125 0.587 0.127 0.558
O126 0.587 0.190 0.390
O127 0.590 0.072 0.052
O128 0.591 0.904 0.392
O129 0.593 0.357 0.048
O130 0.594 0.737 0.565
O131 0.609 0.585 0.397
O132 0.616 0.239 0.895
O133 0.618 0.520 0.894
O134 0.619 0.912 0.889
O135 0.621 0.301 0.413
O136 0.624 0.471 0.046
O137 0.626 0.748 0.057
O138 0.630 0.634 0.881
O139 0.642 0.515 0.481
O140 0.642 0.913 0.500
O141 0.645 0.628 0.499
O142 0.647 0.741 0.180
O143 0.658 0.229 0.493
O144 0.663 0.466 0.763
O145 0.670 0.470 0.184
O146 0.680 0.353 0.792
O147 0.683 0.066 0.171
O148 0.683 0.356 0.173
O149 0.683 0.515 0.620
O150 0.685 0.238 0.613
O151 0.692 0.745 0.775
O152 0.701 0.913 0.619
O153 0.705 0.063 0.786
O154 0.711 0.689 0.274
O155 0.712 0.628 0.618
O156 0.718 0.254 0.106
O157 0.722 0.405 0.273
O158 0.731 0.573 0.117
O159 0.740 0.251 0.721
O160 0.740 0.961 0.719
O161 0.741 0.803 0.272
O162 0.742 0.078 0.281
O163 0.743 0.964 0.100
O164 0.753 0.848 0.708
O165 0.760 0.851 0.129
O166 0.765 0.088 0.397
O167 0.776 0.577 0.712
O168 0.778 0.689 0.393
O169 0.780 0.405 0.392
O170 0.783 0.802 0.411
O171 0.793 0.683 0.011
O172 0.797 0.569 0.835
O173 0.799 0.846 0.846
O174 0.804 0.405 0.003
O175 0.805 0.798 0.998
O176 0.807 0.079 0.997
O177 0.814 0.017 0.481
O178 0.815 0.732 0.495
O179 0.828 0.581 0.327
O180 0.830 0.960 0.844
O181 0.833 0.245 0.840
O182 0.835 0.130 0.500
O183 0.836 0.411 0.500
O184 0.837 0.188 0.333
O185 0.839 0.301 0.937
O186 0.843 0.907 0.338
O187 0.845 0.574 0.945
O188 0.859 0.301 0.331
O189 0.871 0.186 0.930
O190 0.881 0.131 0.625
O191 0.881 0.183 0.066
O192 0.886 0.410 0.618
O193 0.887 0.905 0.939
O194 0.899 0.131 0.217
O195 0.908 0.738 0.612
O196 0.911 0.019 0.616
O197 0.916 0.018 0.234
O198 0.916 0.358 0.712
O199 0.917 0.068 0.715
O200 0.917 0.899 0.059
O201 0.921 0.413 0.214
O202 0.922 0.740 0.232
O203 0.945 0.237 0.564
O204 0.945 0.296 0.069
O205 0.948 0.911 0.551
O206 0.951 0.631 0.556
O207 0.952 0.638 0.157
O208 0.958 0.572 0.068
O209 0.959 0.746 0.721
O210 0.973 0.919 0.166
O211 0.974 0.517 0.564
O212 0.977 0.471 0.711
O213 0.987 0.743 0.842
O214 0.988 0.239 0.161
O215 0.989 0.524 0.164
O216 0.994 0.466 0.850
# Density: 3.2 g/cm³
# Crystal system: triclinic

=====

--- 2 ---
# Na9Nb2Zn4P9O36 GGA-PBE relaxed
data_Na9Nb2Zn4P9O36
_chemical_formula_sum 'Na36 Nb8 Zn16 P36 O144'
_cell_length_a 15.607
_cell_length_b 26.985
_cell_length_c 8.944
_cell_angle_alpha 89.81
_cell_angle_beta 124.95
_cell_angle_gamma 90.04
_space_group_name_H-M_alt 'P 1'
_space_group_IT_number 1
_space_group_name_Hall 'P 1'
loop_
_atom_site_label
_atom_site_fract_x
_atom_site_fract_y
_atom_site_fract_z
Na1 0.260 0.249 0.029
Na2 0.248 0.583 0.002
Na3 0.251 0.917 0.005
Na4 0.757 0.251 0.518
Na5 0.762 0.589 0.532
Na6 0.753 0.910 0.524
Na7 0.748 0.083 0.002
Na8 0.751 0.417 0.005
Na9 0.760 0.749 0.029
Na10 0.262 0.089 0.532
Na11 0.253 0.410 0.524
Na12 0.257 0.751 0.518
Na13 0.496 0.039 0.744
Na14 0.497 0.374 0.742
Na15 0.496 0.702 0.756
Na16 0.501 0.301 0.269
Na17 0.492 0.631 0.249
Na18 0.498 0.969 0.265
Na19 0.996 0.202 0.756
Na20 0.996 0.539 0.744
Na21 0.997 0.874 0.742
Na22 0.992 0.131 0.249
Na23 0.998 0.469 0.265
Na24 0.001 0.801 0.269
Na25 0.823 0.976 0.216
Na26 0.187 0.637 0.299
Na27 0.194 0.972 0.303
Na28 0.186 0.689 0.760
Na29 0.806 0.021 0.714
Na30 0.806 0.357 0.708
Na31 0.323 0.476 0.216
Na32 0.687 0.137 0.299
Na33 0.694 0.472 0.303
Na34 0.686 0.189 0.760
Na35 0.306 0.521 0.714
Na36 0.306 0.857 0.708
Nb1 0.108 0.252 0.561
Nb2 0.106 0.084 0.058
Nb3 0.106 0.413 0.059
Nb4 0.103 0.749 0.061
Nb5 0.608 0.752 0.561
Nb6 0.603 0.249 0.061
Nb7 0.606 0.584 0.058
Nb8 0.606 0.913 0.059
Zn1 0.089 0.585 0.549
Zn2 0.100 0.921 0.560
Zn3 0.901 0.252 0.956
Zn4 0.900 0.585 0.954
Zn5 0.900 0.916 0.954
Zn6 0.903 0.082 0.452
Zn7 0.900 0.416 0.445
Zn8 0.899 0.748 0.445
Zn9 0.589 0.085 0.549
Zn10 0.600 0.421 0.560
Zn11 0.400 0.085 0.954
Zn12 0.400 0.416 0.954
Zn13 0.401 0.752 0.956
Zn14 0.399 0.248 0.445
Zn15 0.403 0.582 0.452
Zn16 0.400 0.916 0.445
P1 0.997 0.318 0.738
P2 0.998 0.651 0.746
P3 0.999 0.984 0.743
P4 0.000 0.016 0.244
P5 0.995 0.349 0.237
P6 0.000 0.682 0.254
P7 0.498 0.151 0.746
P8 0.499 0.484 0.743
P9 0.497 0.818 0.738
P10 0.500 0.182 0.254
P11 0.500 0.516 0.244
P12 0.495 0.849 0.237
P13 0.354 0.298 0.745
P14 0.350 0.632 0.750
P15 0.352 0.965 0.751
P16 0.645 0.300 0.739
P17 0.645 0.633 0.734
P18 0.646 0.966 0.738
P19 0.648 0.032 0.243
P20 0.646 0.367 0.242
P21 0.644 0.701 0.236
P22 0.353 0.035 0.255
P23 0.355 0.367 0.259
P24 0.350 0.702 0.249
P25 0.850 0.132 0.750
P26 0.852 0.465 0.751
P27 0.854 0.798 0.745
P28 0.145 0.133 0.734
P29 0.146 0.466 0.738
P30 0.145 0.800 0.739
P31 0.144 0.201 0.236
P32 0.148 0.532 0.243
P33 0.146 0.867 0.242
P34 0.850 0.202 0.249
P35 0.853 0.535 0.255
P36 0.855 0.867 0.259
O1 0.148 0.192 0.739
O2 0.155 0.523 0.763
O3 0.156 0.857 0.762
O4 0.841 0.189 0.752
O5 0.851 0.522 0.762
O6 0.847 0.854 0.762
O7 0.841 0.146 0.262
O8 0.835 0.479 0.257
O9 0.846 0.811 0.255
O10 0.150 0.142 0.247
O11 0.156 0.473 0.234
O12 0.151 0.808 0.229
O13 0.655 0.023 0.763
O14 0.656 0.357 0.762
O15 0.648 0.692 0.739
O16 0.351 0.022 0.762
O17 0.347 0.354 0.762
O18 0.341 0.689 0.752
O19 0.346 0.311 0.255
O20 0.341 0.646 0.262
O21 0.335 0.979 0.257
O22 0.651 0.308 0.229
O23 0.650 0.642 0.247
O24 0.656 0.973 0.234
O25 0.441 0.183 0.579
O26 0.434 0.515 0.570
O27 0.434 0.851 0.574
O28 0.560 0.187 0.923
O29 0.557 0.524 0.912
O30 0.563 0.851 0.916
O31 0.578 0.153 0.434
O32 0.573 0.484 0.412
O33 0.558 0.811 0.407
O34 0.444 0.150 0.088
O35 0.431 0.487 0.068
O36 0.434 0.820 0.063
O37 0.934 0.015 0.570
O38 0.934 0.351 0.574
O39 0.941 0.683 0.579
O40 0.057 0.024 0.912
O41 0.063 0.351 0.916
O42 0.060 0.687 0.923
O43 0.058 0.311 0.407
O44 0.078 0.653 0.434
O45 0.073 0.984 0.412
O46 0.934 0.320 0.063
O47 0.944 0.650 0.088
O48 0.931 0.987 0.068
O49 0.257 0.273 0.732
O50 0.271 0.606 0.771
O51 0.272 0.937 0.768
O52 0.741 0.277 0.754
O53 0.740 0.612 0.757
O54 0.741 0.945 0.750
O55 0.742 0.053 0.249
O56 0.738 0.391 0.252
O57 0.739 0.723 0.256
O58 0.251 0.060 0.229
O59 0.253 0.390 0.237
O60 0.259 0.726 0.250
O61 0.771 0.106 0.771
O62 0.772 0.437 0.768
O63 0.757 0.773 0.732
O64 0.240 0.112 0.757
O65 0.241 0.445 0.750
O66 0.241 0.777 0.754
O67 0.239 0.223 0.256
O68 0.242 0.553 0.249
O69 0.238 0.891 0.252
O70 0.759 0.226 0.250
O71 0.751 0.560 0.229
O72 0.753 0.890 0.237
O73 0.352 0.285 0.581
O74 0.343 0.618 0.578
O75 0.345 0.950 0.580
O76 0.638 0.279 0.902
O77 0.639 0.620 0.902
O78 0.646 0.946 0.911
O79 0.652 0.042 0.418
O80 0.647 0.375 0.416
O81 0.636 0.716 0.403
O82 0.357 0.047 0.094
O83 0.352 0.386 0.095
O84 0.342 0.714 0.075
O85 0.843 0.118 0.578
O86 0.845 0.450 0.580
O87 0.852 0.785 0.581
O88 0.139 0.120 0.902
O89 0.146 0.446 0.911
O90 0.138 0.779 0.902
O91 0.136 0.216 0.403
O92 0.152 0.542 0.418
O93 0.147 0.875 0.416
O94 0.842 0.214 0.075
O95 0.857 0.547 0.094
O96 0.852 0.886 0.095
O97 0.456 0.277 0.926
O98 0.463 0.615 0.921
O99 0.465 0.943 0.920
O100 0.546 0.283 0.563
O101 0.542 0.619 0.559
O102 0.544 0.950 0.565
O103 0.547 0.050 0.070
O104 0.544 0.384 0.067
O105 0.541 0.716 0.062
O106 0.446 0.054 0.439
O107 0.446 0.390 0.439
O108 0.456 0.723 0.421
O109 0.963 0.115 0.921
O110 0.965 0.443 0.920
O111 0.956 0.777 0.926
O112 0.042 0.119 0.559
O113 0.044 0.450 0.565
O114 0.046 0.783 0.563
O115 0.041 0.216 0.062
O116 0.047 0.550 0.070
O117 0.044 0.884 0.067
O118 0.956 0.223 0.421
O119 0.946 0.554 0.439
O120 0.946 0.890 0.439
O121 0.081 0.285 0.735
O122 0.090 0.621 0.766
O123 0.086 0.953 0.761
O124 0.925 0.282 0.752
O125 0.926 0.616 0.761
O126 0.923 0.953 0.760
O127 0.926 0.052 0.256
O128 0.929 0.386 0.256
O129 0.928 0.720 0.256
O130 0.078 0.051 0.230
O131 0.084 0.380 0.244
O132 0.083 0.717 0.242
O133 0.590 0.121 0.766
O134 0.586 0.453 0.761
O135 0.581 0.785 0.735
O136 0.426 0.116 0.761
O137 0.423 0.453 0.760
O138 0.425 0.782 0.752
O139 0.428 0.220 0.256
O140 0.426 0.552 0.256
O141 0.429 0.886 0.256
O142 0.583 0.217 0.242
O143 0.578 0.551 0.230
O144 0.584 0.880 0.244
# Density: 3.2 g/cm³

=====

Of them, 2 has the lowest stability.